Run 1
First-principles (PBE with a Hubbard U) data for an optimized crystal structure of MgTi2Co2O6, as listed in the Materials Project.

Cell and atoms, written as POSCAR:
```
MgTi2Co2O6
1.0
2.606 1.504 4.939
-2.606 1.504 4.939
0.000 -3.009 4.939
Mg Ti Co O
1 2 2 6
Direct
0.000 0.000 0.000
0.187 0.187 0.187
0.813 0.813 0.813
0.357 0.357 0.357
0.643 0.643 0.643
0.056 0.410 0.798
0.202 0.944 0.590
0.410 0.798 0.056
0.590 0.202 0.944
0.798 0.056 0.410
0.944 0.590 0.202
```

Computed properties:
Size of the total moment = 4.00 μB per formula unit


Run 2
First-principles (PBE with a Hubbard U) data for an optimized crystal structure of MgTi2Co2O6, as listed in the Materials Project.

Cell and atoms, written as POSCAR:
```
MgTi2Co2O6
1.0
2.600 1.501 5.000
-2.600 1.501 5.000
0.000 -3.002 5.000
Mg Ti Co O
1 2 2 6
Direct
0.000 0.000 0.000
0.349 0.349 0.349
0.651 0.651 0.651
0.178 0.178 0.178
0.822 0.822 0.822
0.067 0.413 0.736
0.264 0.933 0.587
0.413 0.736 0.067
0.587 0.264 0.933
0.736 0.067 0.413
0.933 0.587 0.264
```

Computed properties:
Size of the total moment = 4.00 μB per formula unit


Verdict on stability: run 1 comes out on top.


Run 1
First-principles (PBE with a Hubbard U) data for an optimized crystal structure of MgTiCo3O8, as listed in the Materials Project.

Cell and atoms, written as POSCAR:
```
MgTiCo3O8
1.0
5.664 0.000 0.000
-2.780 5.108 0.000
-0.041 -3.303 4.923
Mg Ti Co O
1 1 3 8
Direct
0.000 0.000 0.000
0.500 0.000 0.500
0.000 0.000 0.500
0.000 0.500 0.500
0.500 0.500 0.500
0.240 0.001 0.720
0.241 0.478 0.692
0.260 0.517 0.287
0.273 0.047 0.288
0.727 0.953 0.712
0.740 0.483 0.713
0.759 0.522 0.308
0.760 0.999 0.280
```

Computed properties:
Size of the total moment = 2.98 μB per formula unit


Run 2
First-principles (PBE with a Hubbard U) data for an optimized crystal structure of MgTiCo3O8, as listed in the Materials Project.

Cell and atoms, written as POSCAR:
```
MgTiCo3O8
1.0
5.867 0.000 0.000
2.933 5.083 0.000
0.016 3.355 5.215
Mg Ti Co O
1 1 3 8
Direct
0.000 0.000 0.000
0.825 0.355 0.461
0.364 0.276 0.576
0.364 0.780 0.577
0.861 0.779 0.578
0.076 0.319 0.752
0.076 0.851 0.752
0.128 0.746 0.376
0.134 0.255 0.349
0.591 0.824 0.759
0.608 0.320 0.751
0.616 0.255 0.348
0.616 0.775 0.348
```

Computed properties:
Size of the total moment = 10.96 μB per formula unit


Run 3
First-principles (PBE with a Hubbard U) data for an optimized crystal structure of MgTiCo3O8, as listed in the Materials Project.

Cell and atoms, written as POSCAR:
```
MgTiCo3O8
1.0
5.045 -2.912 0.000
5.045 2.912 0.000
-3.558 0.000 4.987
Mg Ti Co O
1 1 3 8
Direct
0.000 0.000 0.000
0.000 0.000 0.500
0.000 0.500 0.500
0.500 0.000 0.500
0.500 0.500 0.500
0.213 0.745 0.711
0.242 0.242 0.695
0.251 0.251 0.297
0.255 0.787 0.289
0.745 0.213 0.711
0.749 0.749 0.703
0.758 0.758 0.305
0.787 0.255 0.289
```

Computed properties:
Size of the total moment = 5.02 μB per formula unit


Verdict on stability: run 1 comes out on top.


Run 1
First-principles (PBE with a Hubbard U) data for an optimized crystal structure of MgV2CoO6, as listed in the Materials Project.

Cell and atoms, written as POSCAR:
```
MgV2CoO6
1.0
4.008 0.000 0.000
-1.867 5.326 0.000
-0.019 -0.076 6.625
Mg V Co O
1 2 1 6
Direct
0.000 0.000 0.000
0.338 0.652 0.171
0.837 0.647 0.508
0.491 0.004 0.681
0.193 0.354 0.082
0.367 0.709 0.465
0.467 0.922 0.989
0.703 0.346 0.587
0.870 0.718 0.217
0.964 0.918 0.695
```

Computed properties:
Size of the total moment = 5.00 μB per formula unit


Run 2
First-principles (PBE with a Hubbard U) data for an optimized crystal structure of MgV2CoO6, as listed in the Materials Project.

Cell and atoms, written as POSCAR:
```
MgV2CoO6
1.0
5.045 0.000 0.000
2.485 4.407 0.000
2.383 1.361 4.935
Mg V Co O
1 2 1 6
Direct
0.000 0.000 0.000
0.195 0.183 0.456
0.666 0.649 0.019
0.840 0.839 0.497
0.014 0.826 0.744
0.258 0.581 0.245
0.400 0.042 0.719
0.584 0.917 0.233
0.798 0.433 0.769
0.928 0.262 0.247
```

Computed properties:
Size of the total moment = 5.00 μB per formula unit


Run 3
First-principles (PBE with a Hubbard U) data for an optimized crystal structure of MgV2CoO6, as listed in the Materials Project.

Cell and atoms, written as POSCAR:
```
MgV2CoO6
1.0
5.087 0.000 0.000
2.500 4.436 0.000
2.483 1.464 4.567
Mg V Co O
1 2 1 6
Direct
0.000 0.000 0.000
0.212 0.204 0.370
0.717 0.700 0.869
0.510 0.490 0.500
0.093 0.420 0.661
0.324 0.942 0.167
0.448 0.813 0.672
0.589 0.320 0.164
0.835 0.075 0.664
0.931 0.583 0.161
```

Computed properties:
Size of the total moment = 5.00 μB per formula unit


Verdict on stability: run 3 comes out on top.


Run 1
First-principles (PBE with a Hubbard U) data for an optimized crystal structure of MgV2CoO6, as listed in the Materials Project.

Cell and atoms, written as POSCAR:
```
MgV2CoO6
1.0
5.204 -1.910 0.000
5.204 1.910 0.000
-0.803 0.000 6.777
Mg V Co O
1 2 1 6
Direct
0.000 0.000 0.000
0.074 0.074 0.428
0.656 0.656 0.770
0.734 0.734 0.182
0.105 0.105 0.720
0.177 0.177 0.218
0.547 0.547 0.968
0.626 0.626 0.480
0.809 0.809 0.900
0.921 0.921 0.301
```

Computed properties:
Size of the total moment = 5.00 μB per formula unit


Run 2
First-principles (PBE with a Hubbard U) data for an optimized crystal structure of MgV2CoO6, as listed in the Materials Project.

Cell and atoms, written as POSCAR:
```
MgV2CoO6
1.0
5.311 -1.797 0.000
5.311 1.797 0.000
-1.401 0.000 6.149
Mg V Co O
1 2 1 6
Direct
0.000 0.000 0.000
0.271 0.271 0.807
0.729 0.729 0.193
0.500 0.500 0.500
0.139 0.139 0.595
0.194 0.194 0.070
0.449 0.449 0.783
0.551 0.551 0.217
0.806 0.806 0.930
0.861 0.861 0.405
```

Computed properties:
Size of the total moment = 0.98 μB per formula unit


Verdict on stability: run 1 comes out on top.


Run 1
First-principles (PBE with a Hubbard U) data for an optimized crystal structure of Mg2CoWO6, as listed in the Materials Project.

Cell and atoms, written as POSCAR:
```
Mg2CoWO6
1.0
5.205 0.000 0.000
-0.033 5.571 0.000
-0.006 -0.716 7.596
Mg Co W O
4 2 2 12
Direct
0.000 0.000 0.000
0.000 0.004 0.498
0.499 0.502 0.997
0.500 0.500 0.500
0.002 0.582 0.211
0.501 0.072 0.714
0.000 0.595 0.702
0.501 0.095 0.202
0.138 0.625 0.937
0.180 0.941 0.254
0.182 0.307 0.617
0.294 0.782 0.612
0.349 0.422 0.255
0.358 0.131 0.962
0.637 0.125 0.437
0.680 0.807 0.118
0.681 0.443 0.755
0.794 0.283 0.113
0.851 0.924 0.755
0.857 0.631 0.462
```

Computed properties:
Size of the total moment = 0.05 μB per formula unit


Run 2
First-principles (PBE with a Hubbard U) data for an optimized crystal structure of Mg2CoWO6, as listed in the Materials Project.

Cell and atoms, written as POSCAR:
```
Mg2CoWO6
1.0
-4.654 -0.868 2.191
-3.571 -3.296 -2.721
2.481 -8.426 2.002
Co Mg O W
2 4 12 2
Direct
0.749 0.512 0.246
0.249 0.512 0.746
0.825 0.366 0.604
0.571 0.870 0.854
0.071 0.870 0.354
0.325 0.366 0.104
0.800 0.699 0.401
0.780 0.182 0.135
0.738 0.179 0.816
0.805 0.702 0.693
0.863 0.701 0.051
0.236 0.181 0.953
0.363 0.701 0.551
0.305 0.702 0.193
0.736 0.181 0.453
0.280 0.182 0.635
0.300 0.699 0.901
0.238 0.179 0.316
0.017 0.978 0.002
0.517 0.978 0.502
```

Computed properties:
Size of the total moment = 0.00 μB per formula unit


Run 3
First-principles (PBE with a Hubbard U) data for an optimized crystal structure of Mg2CoWO6, as listed in the Materials Project.

Cell and atoms, written as POSCAR:
```
Mg2CoWO6
1.0
5.181 0.000 0.000
0.000 5.328 0.000
-5.144 0.000 7.787
Mg Co W O
4 2 2 12
Direct
0.225 0.048 0.231
0.225 0.452 0.731
0.775 0.548 0.269
0.775 0.952 0.769
0.000 0.000 0.500
0.000 0.500 0.000
0.500 0.000 0.000
0.500 0.500 0.500
0.134 0.178 0.951
0.134 0.322 0.451
0.241 0.700 0.908
0.241 0.800 0.408
0.401 0.087 0.770
0.401 0.413 0.270
0.599 0.587 0.730
0.599 0.913 0.230
0.759 0.200 0.592
0.759 0.300 0.092
0.866 0.678 0.549
0.866 0.822 0.049
```

Computed properties:
Size of the total moment = 0.00 μB per formula unit


Verdict on stability: run 2 comes out on top.


Run 1
First-principles (PBE with a Hubbard U) data for an optimized crystal structure of Mn2CoO4, as listed in the Materials Project.

Cell and atoms, written as POSCAR:
```
Mn2CoO4
1.0
5.513 -2.904 0.000
5.513 2.904 0.000
-3.028 0.000 4.939
Mn Co O
4 2 8
Direct
0.000 0.000 0.000
0.000 0.000 0.500
0.000 0.500 0.000
0.500 0.000 0.000
0.375 0.375 0.625
0.625 0.625 0.375
0.222 0.766 0.244
0.234 0.778 0.756
0.243 0.243 0.764
0.245 0.245 0.221
0.755 0.755 0.779
0.757 0.757 0.236
0.766 0.222 0.244
0.778 0.234 0.756
```


Run 2
First-principles (PBE with a Hubbard U) data for an optimized crystal structure of Mn2CoO4, as listed in the Materials Project.

Cell and atoms, written as POSCAR:
```
Mn2CoO4
1.0
6.164 0.000 0.000
0.650 6.163 0.000
0.059 0.007 8.271
Mn Co O
8 4 16
Direct
0.000 0.000 0.000
0.000 0.494 0.997
0.254 0.251 0.250
0.254 0.750 0.746
0.507 0.755 0.127
0.509 0.498 0.496
0.514 0.006 0.499
0.757 0.749 0.746
0.004 0.248 0.621
0.004 0.745 0.370
0.507 0.251 0.874
0.756 0.249 0.250
0.013 0.984 0.759
0.232 0.756 0.986
0.239 0.259 0.013
0.272 0.239 0.485
0.273 0.741 0.505
0.496 0.516 0.736
0.513 0.477 0.262
0.514 0.983 0.737
0.529 0.041 0.259
0.739 0.758 0.509
0.743 0.258 0.485
0.769 0.241 0.014
0.776 0.740 0.982
0.983 0.463 0.240
0.998 0.014 0.237
0.999 0.513 0.757
```

Computed properties:
Size of the total moment = 10.50 μB per formula unit


Verdict on stability: run 1 comes out on top.